Tb5SbAu2 (PBE, relaxed); size of the total moment = 0.001 μB/f.u.; space group = I4/mcm; E_form = -0.4151 eV per atom; energy relative to the lowest polymorph listed for this composition = 32.5 kJ per mole of atoms; DFT total energy = -0.171 hartree per atom
1.0
-3.710 3.710 8.713
3.710 -3.710 8.713
3.710 3.710 -8.713
Tb Sb Au
10 2 4
direct
0.000 0.000 0.000
0.001 0.501 0.170
0.169 0.999 0.500
0.331 0.831 0.830
0.499 0.669 0.500
0.500 0.500 0.000
0.501 0.331 0.500
0.669 0.169 0.170
0.831 0.001 0.500
0.999 0.499 0.830
0.250 0.250 0.000
0.750 0.750 0.000
0.127 0.627 0.754
0.373 0.127 0.500
0.627 0.873 0.500
0.873 0.373 0.246